Record 1
MnP2O7 | PBE with a Hubbard U | relaxed

Unit cell a=7.9296 b=6.8429 c=9.3128 alpha=71.01 beta=90.00 gamma=90.00
Last column: nearest neighbours and their distance in Å.
Fractional positions:
Mn  0.2777  0.2792  0.5076  6 O 1.91-1.97
Mn  0.2223  0.2792  0.0076  6 O 1.91-1.97
Mn  0.7777  0.7208  0.9924  6 O 1.91-1.97
Mn  0.7223  0.7208  0.4924  6 O 1.91-1.97
P  0.0944  0.5353  0.2047  4 O 1.53-1.62
P  0.5944  0.4647  0.2953  4 O 1.53-1.62
P  0.0350  0.0684  0.7949  4 O 1.53-1.62
P  0.5350  0.9316  0.7051  4 O 1.53-1.62
P  0.4650  0.0684  0.2949  4 O 1.53-1.62
P  0.9650  0.9316  0.2051  4 O 1.53-1.62
P  0.4056  0.5353  0.7047  4 O 1.53-1.62
P  0.9056  0.4647  0.7953  4 O 1.53-1.62
O  0.1149  0.7703  0.2045  2 P 1.62
O  0.7385  0.5111  0.3902  1 P 1.54
O  0.5938  0.6027  0.1284  1 P 1.53
O  0.4206  0.4732  0.3665  1 P 1.54
O  0.9206  0.5268  0.1335  1 P 1.54
O  0.0938  0.3973  0.3716  1 P 1.53
O  0.2385  0.4889  0.1098  1 P 1.54
O  0.1752  0.0820  0.9064  1 P 1.54
O  0.4501  0.1447  0.6546  1 P 1.53
O  0.1023  0.1087  0.6340  1 P 1.53
O  0.6149  0.2297  0.2955  2 P 1.62
O  0.6023  0.8913  0.8660  1 P 1.53
O  0.3248  0.0820  0.4064  1 P 1.54
O  0.9501  0.8553  0.8454  1 P 1.53
O  0.0499  0.1447  0.1546  1 P 1.53
O  0.6752  0.9180  0.5936  1 P 1.54
O  0.3977  0.1087  0.1340  1 P 1.53
O  0.3851  0.7703  0.7045  2 P 1.62
O  0.8977  0.8913  0.3660  1 P 1.53
O  0.5499  0.8553  0.3454  1 P 1.53
O  0.8248  0.9180  0.0936  1 P 1.54
O  0.7615  0.5111  0.8902  1 P 1.54
O  0.9062  0.6027  0.6284  1 P 1.53
O  0.0794  0.4732  0.8665  1 P 1.54
O  0.5794  0.5268  0.6335  1 P 1.54
O  0.4062  0.3973  0.8716  1 P 1.53
O  0.2615  0.4889  0.6098  1 P 1.54
O  0.8851  0.2297  0.7955  2 P 1.62

## Properties
DFT formation energy, eV per atom: -2.353
ΔE to the lowest computed polymorph, eV per formula unit: 0.31
Energy with MP2020 corrections, Ry/atom: -0.5745
Crystal system: monoclinic

---

Record 2
K3Mn5Si12O30 | PBE with a Hubbard U | relaxed

Unit cell a=10.6310 b=10.6310 c=14.4961 alpha=90.00 beta=90.00 gamma=120.00
Last column: nearest neighbours and their distance in Å.
Fractional positions:
K  0.3333  0.6667  0.5000  9 O 2.85-3.04
K  0.6667  0.3333  0.5000  9 O 2.85-3.04
K  0.6667  0.3333  0.0000  9 O 2.85-3.04
K  0.3333  0.6667  0.0000  9 O 2.85-3.04
K  0.0000  0.0000  0.7500  12 O 3.07
K  0.0000  0.0000  0.2500  12 O 3.07
Mn  0.5000  0.0000  0.7500  4 O 2.12
Mn  0.5000  0.0000  0.2500  4 O 2.12
Mn  0.0000  0.5000  0.7500  4 O 2.12
Mn  0.0000  0.5000  0.2500  4 O 2.12
Mn  0.5000  0.5000  0.7500  4 O 2.12
Mn  0.5000  0.5000  0.2500  4 O 2.12
Mn  0.3333  0.6667  0.7500  6 O 2.26
Mn  0.6667  0.3333  0.2500  6 O 2.26
Mn  0.6667  0.3333  0.7500  6 O 2.26
Mn  0.3333  0.6667  0.2500  6 O 2.26
Si  0.1100  0.3384  0.6120  4 O 1.62-1.65
Si  0.8900  0.6616  0.3880  4 O 1.62-1.65
Si  0.6616  0.7715  0.6120  4 O 1.62-1.65
Si  0.8900  0.6616  0.6120  4 O 1.62-1.65
Si  0.3384  0.1100  0.8880  4 O 1.62-1.65
Si  0.3384  0.2285  0.3880  4 O 1.62-1.65
Si  0.1100  0.3384  0.3880  4 O 1.62-1.65
Si  0.6616  0.8900  0.1120  4 O 1.62-1.65
Si  0.2285  0.8900  0.6120  4 O 1.62-1.65
Si  0.3384  0.2285  0.6120  4 O 1.62-1.65
Si  0.7715  0.6616  0.8880  4 O 1.62-1.65
Si  0.7715  0.1100  0.3880  4 O 1.62-1.65
Si  0.6616  0.7715  0.3880  4 O 1.62-1.65
Si  0.2285  0.3384  0.1120  4 O 1.62-1.65
Si  0.6616  0.8900  0.8880  4 O 1.62-1.65
Si  0.3384  0.1100  0.1120  4 O 1.62-1.65
Si  0.7715  0.1100  0.6120  4 O 1.62-1.65
Si  0.2285  0.3384  0.8880  4 O 1.62-1.65
Si  0.2285  0.8900  0.3880  4 O 1.62-1.65
Si  0.7715  0.6616  0.1120  4 O 1.62-1.65
Si  0.8900  0.2285  0.8880  4 O 1.62-1.65
Si  0.1100  0.7715  0.1120  4 O 1.62-1.65
Si  0.1100  0.7715  0.8880  4 O 1.62-1.65
Si  0.8900  0.2285  0.1120  4 O 1.62-1.65
O  0.1216  0.3651  0.5000  2 Si 1.64
O  0.8784  0.6349  0.5000  2 Si 1.64
O  0.6349  0.7564  0.5000  2 Si 1.64
O  0.3651  0.1216  0.0000  2 Si 1.64
O  0.3651  0.2436  0.5000  2 Si 1.64
O  0.6349  0.8784  0.0000  2 Si 1.64
O  0.2436  0.8784  0.5000  2 Si 1.64
O  0.7564  0.6349  0.0000  2 Si 1.64
O  0.7564  0.1216  0.5000  2 Si 1.64
O  0.2436  0.3651  0.0000  2 Si 1.64
O  0.8784  0.2436  0.0000  2 Si 1.64
O  0.1216  0.7564  0.0000  2 Si 1.64
O  0.2695  0.0564  0.6400  2 Si 1.65
O  0.7305  0.9436  0.3600  2 Si 1.65
O  0.9436  0.2132  0.6400  2 Si 1.65
O  0.7305  0.9436  0.6400  2 Si 1.65
O  0.0564  0.2695  0.8600  2 Si 1.65
O  0.0564  0.7868  0.3600  2 Si 1.65
O  0.2695  0.0564  0.3600  2 Si 1.65
O  0.9436  0.7305  0.1400  2 Si 1.65
O  0.7868  0.7305  0.6400  2 Si 1.65
O  0.0564  0.7868  0.6400  2 Si 1.65
O  0.2132  0.9436  0.8600  2 Si 1.65
O  0.2132  0.2695  0.3600  2 Si 1.65
O  0.9436  0.2132  0.3600  2 Si 1.65
O  0.7868  0.0564  0.1400  2 Si 1.65
O  0.9436  0.7305  0.8600  2 Si 1.65
O  0.0564  0.2695  0.1400  2 Si 1.65
O  0.2132  0.2695  0.6400  2 Si 1.65
O  0.7868  0.0564  0.8600  2 Si 1.65
O  0.7868  0.7305  0.3600  2 Si 1.65
O  0.2132  0.9436  0.1400  2 Si 1.65
O  0.7305  0.7868  0.8600  2 Si 1.65
O  0.2695  0.2132  0.1400  2 Si 1.65
O  0.2695  0.2132  0.8600  2 Si 1.65
O  0.7305  0.7868  0.1400  2 Si 1.65
O  0.1556  0.4892  0.6646  1 Si 1.62
O  0.8444  0.5108  0.3354  1 Si 1.62
O  0.5108  0.6664  0.6646  1 Si 1.62
O  0.8444  0.5108  0.6646  1 Si 1.62
O  0.4892  0.1556  0.8354  1 Si 1.62
O  0.4892  0.3336  0.3354  1 Si 1.62
O  0.1556  0.4892  0.3354  1 Si 1.62
O  0.5108  0.8444  0.1646  1 Si 1.62
O  0.3336  0.8444  0.6646  1 Si 1.62
O  0.4892  0.3336  0.6646  1 Si 1.62
O  0.6664  0.5108  0.8354  1 Si 1.62
O  0.6664  0.1556  0.3354  1 Si 1.62
O  0.5108  0.6664  0.3354  1 Si 1.62
O  0.3336  0.4892  0.1646  1 Si 1.62
O  0.5108  0.8444  0.8354  1 Si 1.62
O  0.4892  0.1556  0.1646  1 Si 1.62
O  0.6664  0.1556  0.6646  1 Si 1.62
O  0.3336  0.4892  0.8354  1 Si 1.62
O  0.3336  0.8444  0.3354  1 Si 1.62
O  0.6664  0.5108  0.1646  1 Si 1.62
O  0.8444  0.3336  0.8354  1 Si 1.62
O  0.1556  0.6664  0.1646  1 Si 1.62
O  0.1556  0.6664  0.8354  1 Si 1.62
O  0.8444  0.3336  0.1646  1 Si 1.62

## Properties
DFT formation energy, eV per atom: -2.911
Energy with MP2020 corrections, Ry/atom: -0.6001
Crystal system: hexagonal

---

Computed values of total magnetic moment (unit: μB per atom) for the preceding records, in sequence: 0.30; 0.51.